Record 1
Compound: PrCoSi
Source: the Materials Project
Functional: meta-GGA r2SCAN
Structure: relaxed

Results
SG ... P4/nmm

Lattice parameters (Å, degrees): 4.041 4.041 7.102 90.00 90.00 90.00
Atoms (fractional coordinates):
Pr  0.250  0.250  0.189
Pr  0.750  0.750  0.811
Co  0.250  0.750  0.500
Co  0.750  0.250  0.500
Si  0.250  0.250  0.660
Si  0.750  0.750  0.340

***

Record 2
Compound: NdIn
Source: the Materials Project
Functional: meta-GGA r2SCAN
Structure: relaxed

Results
SG ... Pm-3m

Lattice parameters (Å, degrees): 3.868 3.868 3.868 90.00 90.00 90.00
Atoms (fractional coordinates):
Nd  0.000  0.000  0.000
In  0.500  0.500  0.500

***

Number 1: formation enthalpy at 0 K -633 meV/atom, total magnetization 0.124 μB per atom. Number 2: formation enthalpy at 0 K -629 meV/atom, total magnetization 0.000 μB per atom.